Below is a geometry-optimized CaN structure, with properties calculated at the PBE level.

Values from the calculation:
The formation energy is -0.46 eV per atom. Its crystal system is cubic. As for the theoretical density: 2.847 g/cm3.

Unit cell a=3.5467 b=3.5467 c=3.5467 alpha=60.00 beta=60.00 gamma=60.00
Fractional positions:
1 Ca 0.0000 0.0000 0.0000
2 N 0.5000 0.5000 0.5000